! BiOF (PBE, relaxed); values from VASP
! Energy with MP2020 corrections in eV per atom: -5.7103
! Total magnetic moment in μB/f.u.: 0.0
! ΔH_f (0 K) in eV per atom: -2.13
&SYSTEM
  ibrav = 0, nat = 12, ntyp = 3
/
ATOMIC_SPECIES
Bi 208.98 Bi.upf
F 19.00 F.upf
O 16.00 O.upf
ATOMIC_POSITIONS angstrom
Bi 4.943 1.851 5.631
Bi 2.975 5.028 8.449
Bi 2.975 4.144 2.823
Bi 4.943 7.322 5.641
F 3.909 5.785 4.228
F 5.877 5.681 7.046
F 5.877 3.492 4.226
F 3.909 3.387 7.043
O 2.975 6.895 6.970
O 2.975 2.277 4.302
O 4.942 4.570 9.788
O 4.942 4.602 1.484
CELL_PARAMETERS angstrom
0.000 4.586 5.636
3.935 0.000 5.636
3.935 4.586 0.000


! KZrPSe6 (PBE, relaxed); values from VASP
! Energy with MP2020 corrections in eV per atom: -4.9211
! Total magnetic moment in μB/f.u.: 0.0
! ΔH_f (0 K) in eV per atom: -0.92
&SYSTEM
  ibrav = 0, nat = 36, ntyp = 4
/
ATOMIC_SPECIES
Se 78.96 Se.upf
K 39.10 K.upf
P 30.97 P.upf
Zr 91.22 Zr.upf
ATOMIC_POSITIONS angstrom
Se 1.874 -10.144 -6.064
Se -4.649 -9.490 2.074
Se -8.297 -9.883 12.804
Se -4.560 -15.436 0.385
Se -6.468 -19.704 2.817
Se -5.132 -17.248 5.066
Se -2.075 -11.237 -3.133
Se -1.693 -17.286 -1.300
Se -1.787 -3.182 -1.600
Se -2.033 -6.665 2.050
Se -1.452 -2.897 1.942
Se -8.380 -16.828 7.090
Se -4.353 -4.069 2.916
Se -4.250 -15.321 3.929
Se -2.669 -12.669 1.687
Se -7.306 -10.877 6.630
Se 0.927 -11.903 -4.764
Se -3.565 -18.541 1.838
Se -4.924 -8.361 6.961
Se -3.765 -7.692 4.989
Se -7.445 -14.644 10.011
Se -4.290 -11.534 4.975
Se -0.861 -6.225 -0.004
Se 0.318 -8.700 -2.818
K -0.511 -14.571 -2.789
K -6.684 -9.378 9.953
K -1.308 -10.046 -0.158
K -5.748 -13.742 7.105
P 1.167 -6.863 -3.916
P -2.629 -16.845 0.542
P -3.169 -11.100 3.013
P -0.320 -2.209 0.025
Zr -5.886 -17.087 2.412
Zr -6.038 -9.334 4.682
Zr -3.152 -4.630 0.551
Zr -0.781 -9.828 -5.163
CELL_PARAMETERS angstrom
-3.372 0.468 -1.824
2.491 -12.786 -7.882
-8.429 -9.714 13.093